1 | A plane-wave DFT calculation with PBE was carried out for a relaxed Al2HgSe4 crystal.

Cell lengths 6.865, 6.865, 6.865 Å; angles 129.28, 129.28, 74.56 degrees
Element x y z (fractional)
Se1 0.866 0.408 0.997
Se2 0.132 0.134 0.543
Se3 0.411 0.868 0.003
Se4 0.592 0.589 0.457
Al1 0.250 0.750 0.500
Al2 0.500 0.500 0.000
Hg1 0.000 0.000 0.000

Calculated values
- Theoretical density: 5014 kg/m3
- Largest piezoelectric modulus: 0.22 C/m²
- Calculated volume: 188.9 Å³ per cell

***

2 | A plane-wave DFT calculation with PBE was carried out for a relaxed Al2HgSe4 crystal.

Cell lengths 7.782, 7.782, 7.782 Å; angles 60.00, 60.00, 60.00 degrees
Element x y z (fractional)
Hg1 0.250 0.250 0.250
Hg2 0.000 0.000 0.000
Se1 0.831 0.390 0.390
Se2 0.390 0.390 0.831
Se3 0.390 0.390 0.390
Se4 0.860 0.860 0.860
Se5 0.390 0.831 0.390
Se6 0.419 0.860 0.860
Se7 0.860 0.860 0.419
Se8 0.860 0.419 0.860
Al1 0.125 0.625 0.625
Al2 0.625 0.625 0.125
Al3 0.625 0.125 0.625
Al4 0.625 0.625 0.625

Calculated values
- Theoretical density: 5685 kg/m3
- Magnetization: 0.000 μB/cell
- Calculated volume: 333.2 Å³ per cell

***

Most stable structure, least stable structure: 1, 2.

***

1 | A plane-wave DFT calculation with PBE was carried out for a relaxed Al2Hg5Se8 crystal.

Cell lengths 8.405, 8.443, 27.922 Å; angles 97.17, 90.48, 118.45 degrees
Element x y z (fractional)
Se1 0.488 0.520 0.992
Se2 0.041 0.219 0.246
Se3 0.521 0.472 0.509
Se4 0.997 0.774 0.243
Se5 0.759 0.881 0.380
Se6 0.264 0.144 0.625
Se7 0.990 0.016 0.009
Se8 0.254 0.359 0.374
Se9 0.002 0.491 0.996
Se10 0.016 0.729 0.754
Se11 0.504 0.744 0.246
Se12 0.485 0.769 0.745
Se13 0.494 0.024 0.493
Se14 0.718 0.353 0.384
Se15 0.233 0.367 0.884
Se16 0.509 0.243 0.746
Se17 0.004 0.532 0.489
Se18 0.535 0.975 0.990
Se19 0.261 0.902 0.375
Se20 0.219 0.856 0.874
Se21 0.767 0.400 0.872
Se22 0.220 0.101 0.134
Se23 0.253 0.602 0.632
Se24 0.507 0.278 0.254
Se25 0.757 0.852 0.882
Se26 0.753 0.642 0.129
Se27 0.011 0.995 0.496
Se28 0.746 0.108 0.124
Se29 0.742 0.128 0.630
Se30 0.985 0.269 0.743
Se31 0.727 0.607 0.624
Se32 0.264 0.638 0.127
Hg1 0.700 0.620 0.724
Hg2 0.458 0.716 0.343
Hg3 0.970 0.488 0.586
Hg4 0.901 0.688 0.338
Hg5 0.201 0.870 0.973
Hg6 0.938 0.968 0.593
Hg7 0.156 0.077 0.724
Hg8 0.957 0.466 0.093
Hg9 0.926 0.192 0.839
Hg10 0.715 0.119 0.224
Hg11 0.418 0.981 0.081
Hg12 0.136 0.557 0.224
Hg13 0.399 0.437 0.088
Hg14 0.648 0.320 0.971
Hg15 0.644 0.812 0.477
Hg16 0.464 0.733 0.840
Hg17 0.213 0.371 0.474
Hg18 0.437 0.218 0.844
Hg19 0.916 0.228 0.335
Hg20 0.426 0.942 0.589
Al1 0.932 0.723 0.840
Al2 0.202 0.857 0.467
Al3 0.432 0.470 0.594
Al4 0.452 0.234 0.344
Al5 0.696 0.605 0.221
Al6 0.183 0.338 0.974
Al7 0.943 0.977 0.099
Al8 0.689 0.090 0.720

Calculated values
- Theoretical density: 6508 kg/m3
- Magnetization: 0.015 μB/cell
- Calculated volume: 1723.3 Å³ per cell

***

2 | A plane-wave DFT calculation with PBE was carried out for a relaxed Al2Hg5Se8 crystal.

Cell lengths 8.621, 8.405, 34.138 Å; angles 60.26, 58.43, 59.45 degrees
Element x y z (fractional)
Se1 0.976 0.025 0.746
Se2 0.026 0.424 0.754
Se3 0.473 0.024 0.008
Se4 0.504 0.485 0.004
Se5 0.472 0.505 0.128
Se6 0.502 0.017 0.370
Se7 0.487 0.019 0.871
Se8 0.502 0.485 0.754
Se9 0.976 0.029 0.255
Se10 0.489 0.501 0.873
Se11 0.030 0.978 0.118
Se12 0.030 0.981 0.368
Se13 0.957 0.016 0.511
Se14 0.032 0.015 0.866
Se15 0.017 0.504 0.376
Se16 0.469 0.020 0.757
Se17 0.026 0.467 0.246
Se18 0.518 0.018 0.116
Se19 0.503 0.480 0.254
Se20 0.015 0.479 0.626
Se21 0.015 0.430 0.010
Se22 0.473 0.016 0.625
Se23 0.016 0.487 0.876
Se24 0.475 0.027 0.257
Se25 0.499 0.501 0.620
Se26 0.470 0.023 0.507
Se27 0.017 0.511 0.126
Se28 0.993 0.035 0.991
Se29 0.030 0.020 0.616
Se30 0.037 0.460 0.491
Se31 0.500 0.480 0.504
Se32 0.480 0.505 0.375
Hg1 0.647 0.105 0.411
Hg2 0.651 0.644 0.029
Hg3 0.103 0.641 0.027
Hg4 0.647 0.644 0.276
Hg5 0.647 0.106 0.161
Hg6 0.651 0.125 0.912
Hg7 0.627 0.602 0.657
Hg8 0.107 0.110 0.160
Hg9 0.627 0.602 0.907
Hg10 0.097 0.104 0.414
Hg11 0.107 0.647 0.665
Hg12 0.104 0.628 0.776
Hg13 0.102 0.632 0.526
Hg14 0.667 0.645 0.776
Hg15 0.099 0.644 0.919
Hg16 0.650 0.125 0.662
Hg17 0.626 0.623 0.407
Hg18 0.103 0.644 0.276
Hg19 0.626 0.625 0.156
Hg20 0.665 0.645 0.523
Al1 0.629 0.121 0.280
Al2 0.636 0.129 0.026
Al3 0.122 0.132 0.901
Al4 0.125 0.631 0.406
Al5 0.118 0.631 0.160
Al6 0.610 0.122 0.533
Al7 0.616 0.131 0.779
Al8 0.111 0.126 0.656

Calculated values
- Theoretical density: 6508 kg/m3
- Magnetization: 0.000 μB/cell
- Calculated volume: 1723.3 Å³ per cell

***

Most stable structure, least stable structure: 2, 1.